This record from the Materials Project describes a geometry-optimized TbGa3 structure. The functional is PBE.

Summary:
The calculation puts the calculated total energy at -3.97 eV per atom. For the formation energy, the calculation gives -0.541 eV per atom.

Cell and atoms, written as extended XYZ:
```
4
Lattice="4.287 0.000 0.000 0.000 4.287 0.000 0.000 0.000 4.287" Properties=species:S:1:pos:R:3 pbc="T T T"
Ga 2.143 0.000 2.143
Tb 0.000 0.000 0.000
Ga 0.000 2.143 2.143
Ga 2.143 2.143 0.000
```